# 1
A plane-wave DFT calculation with PBE-GGA was carried out for an optimized crystal structure of Mo2Ru.

Values from the calculation:
Its volume is 15.411 Å³/atom. The calculation puts the spin magnetization at 0.0 μB per cell. Its energy of formation is 0.019 eV/atom. As for the space group: P4_2/mnm.

Cell: 9.638 9.638 4.977 Å, 90.00 90.00 90.00°
Atoms (fractional coordinates):
Mo1 0.870 0.540 0.000
Mo2 0.892 0.108 0.500
Mo3 0.108 0.892 0.500
Mo4 0.178 0.178 0.256
Mo5 0.678 0.322 0.756
Mo6 0.392 0.392 0.000
Ru1 0.234 0.433 0.500
Ru2 0.067 0.734 0.000
Mo7 0.322 0.678 0.244
Ru3 0.567 0.766 0.500
Mo8 0.460 0.130 0.000
Ru4 0.766 0.567 0.500
Mo9 0.822 0.822 0.256
Mo10 0.178 0.178 0.744
Mo11 0.370 0.960 0.500
Ru5 0.000 0.000 0.000
Mo12 0.322 0.678 0.756
Mo13 0.630 0.040 0.500
Mo14 0.608 0.608 0.000
Mo15 0.678 0.322 0.244
Mo16 0.960 0.370 0.500
Mo17 0.130 0.460 0.000
Mo18 0.540 0.870 0.000
Ru6 0.734 0.067 0.000
Mo19 0.040 0.630 0.500
Ru7 0.933 0.266 0.000
Ru8 0.266 0.933 0.000
Mo20 0.822 0.822 0.744
Ru9 0.433 0.234 0.500
Ru10 0.500 0.500 0.500



# 2
A plane-wave DFT calculation with PBE-GGA was carried out for an optimized crystal structure of MoRu3.

Values from the calculation:
Its volume is 14.398 Å³/atom. Its energy of formation is -0.061 eV/atom. As for the space group: P6_3/mmc.

Cell: 5.515 5.515 4.373 Å, 90.00 90.00 120.00°
Atoms (fractional coordinates):
Ru1 0.333 0.167 0.750
Mo1 0.667 0.333 0.250
Ru2 0.667 0.833 0.250
Ru3 0.833 0.167 0.750
Ru4 0.833 0.667 0.750
Mo2 0.333 0.667 0.750
Ru5 0.167 0.333 0.250
Ru6 0.167 0.833 0.250